Tb3Ag4Sn4: relaxed, PBE.

a = 4.6301 Å, b = 7.3688 Å, c = 15.3279 Å
α = 90.00°, β = 90.00°, γ = 90.00°
Space group Immm (No. 71)
Symmetry-distinct sites (fractional):
Tb: 0.0000 0.0000 0.0000
Tb: 0.0000 0.5000 0.1283
Ag: 0.0000 0.3029 0.3286
Sn: 0.0000 0.0000 0.2142
Sn: 0.0000 0.1957 0.5000

For the energy relative to the elements, the calculation gives -0.50 eV/atom.

Ta2CrB2: relaxed, PBE.

a = 5.9285 Å, b = 5.9285 Å, c = 3.2514 Å
α = 90.00°, β = 90.00°, γ = 90.00°
Space group P4/mbm (No. 127)
Symmetry-distinct sites (fractional):
Ta: 0.1798 0.3202 0.0000
Cr: 0.0000 0.0000 0.5000
B: 0.1127 0.6127 0.5000

For the energy relative to the elements, the calculation gives -0.70 eV/atom.

Li2UO4: relaxed, PBE.

a = 4.3576 Å, b = 4.3576 Å, c = 10.5708 Å
α = 90.00°, β = 90.00°, γ = 90.00°
Space group I4/mmm (No. 139)
Symmetry-distinct sites (fractional):
Li: 0.0000 0.0000 0.1426
U: 0.0000 0.0000 0.5000
O: 0.0000 0.0000 0.3189
O: 0.0000 0.5000 0.0000

For the energy relative to the elements, the calculation gives -2.96 eV/atom. For the MP2020-corrected energy, the calculation gives -111.2 eV/cell. Its energy above the most stable polymorph in this dataset is 185 meV/atom.